Compound: Ca2TaTiO6
Source: Materials Project
Functional: PBE
Structure: relaxed

a b c (Å): 5.4768 7.8228 5.6353
angles (deg): 90.00 90.05 90.00
With the nearest neighbours (Å) after each atom.
Element x y z (fractional)
Ca  0.0104  0.2500  0.0433  6 O 2.37-2.65
Ca  0.4882  0.2500  0.5608  6 O 2.37-2.59
Ca  0.5118  0.7500  0.4392  6 O 2.37-2.59
Ca  0.9896  0.7500  0.9567  6 O 2.37-2.65
Ta  0.0000  0.0000  0.5000  6 O 2.01-2.02
Ta  0.0000  0.5000  0.5000  6 O 2.01-2.02
Ti  0.5000  0.0000  0.0000  6 O 2.01-2.05
Ti  0.5000  0.5000  0.0000  6 O 2.01-2.05
O  0.0879  0.7500  0.5259  2 Ta 2.02
O  0.2018  0.0459  0.7905  1 Ta 2.01, 1 Ti 2.05
O  0.2018  0.4541  0.7905  1 Ta 2.01, 1 Ti 2.05
O  0.2940  0.0440  0.2956  1 Ta 2.01, 1 Ti 2.04
O  0.2940  0.4560  0.2956  1 Ta 2.01, 1 Ti 2.04
O  0.4165  0.7500  0.0234  2 Ti 2.01
O  0.5835  0.2500  0.9766  2 Ti 2.01
O  0.7060  0.5440  0.7044  1 Ta 2.01, 1 Ti 2.04
O  0.7060  0.9560  0.7044  1 Ta 2.01, 1 Ti 2.04
O  0.7982  0.5459  0.2095  1 Ta 2.01, 1 Ti 2.05
O  0.7982  0.9541  0.2095  1 Ta 2.01, 1 Ti 2.05
O  0.9121  0.2500  0.4741  2 Ta 2.02

The calculation puts the total energy at -8.380 eV per atom. Its space-group type is P2_1/m (11). For the total moment, the calculation gives 0.03 μB per formula unit. Its formation energy is -3.447 eV per atom.

***

Compound: Ca4Zr3TaO12
Source: Materials Project
Functional: PBE
Structure: relaxed

a b c (Å): 5.6298 5.7998 8.0648
angles (deg): 90.46 90.04 90.11
With the nearest neighbours (Å) after each atom.
Element x y z (fractional)
Ca  0.0099  0.4493  0.2480  4 O 2.35-2.47
Ca  0.4879  0.9472  0.2481  4 O 2.34-2.47
Ca  0.5121  0.0528  0.7519  4 O 2.34-2.47
Ca  0.9901  0.5507  0.7520  4 O 2.35-2.47
Zr  0.0000  0.0000  0.0000  6 O 2.11-2.16
Zr  0.0000  0.0000  0.5000  6 O 2.12-2.13
Zr  0.5000  0.5000  0.5000  6 O 2.11-2.16
Ta  0.5000  0.5000  0.0000  6 O 2.04-2.05
O  0.1072  0.9614  0.7510  2 Zr 2.11-2.13, 1 Ca 2.34
O  0.1935  0.6950  0.4428  2 Zr 2.12-2.13, 1 Ca 2.35
O  0.2073  0.6966  0.0514  1 Ta 2.05, 1 Zr 2.16
O  0.3071  0.1966  0.4436  2 Zr 2.11-2.12, 1 Ca 2.36
O  0.3067  0.2119  0.0535  1 Ta 2.04, 1 Zr 2.16
O  0.4004  0.4644  0.7576  1 Ta 2.04, 1 Zr 2.16
O  0.5996  0.5356  0.2424  1 Ta 2.04, 1 Zr 2.16
O  0.6933  0.7881  0.9465  1 Ta 2.04, 1 Zr 2.16
O  0.6929  0.8034  0.5564  2 Zr 2.11-2.12, 1 Ca 2.36
O  0.7927  0.3034  0.9486  1 Ta 2.05, 1 Zr 2.16
O  0.8065  0.3050  0.5572  2 Zr 2.12-2.13, 1 Ca 2.35
O  0.8928  0.0386  0.2490  2 Zr 2.11-2.13, 1 Ca 2.34

The calculation puts the total energy at -8.391 eV per atom. Its space-group type is P-1 (2). For the total moment, the calculation gives 0.00 μB per formula unit. Its formation energy is -3.558 eV per atom.